[1]
First-principles (PBE) data for a relaxed structure of InH3C2O5, as listed in Materials Project.

The structure in extended XYZ format:
```
44
Lattice="-6.437 6.437 3.162 6.437 -6.437 3.162 6.437 6.437 -3.162" Properties=species:S:1:pos:R:3 pbc="T T T"
In 3.218 1.890 -0.791
In 4.547 -3.218 3.953
In 3.218 4.547 2.372
In 1.890 9.655 0.791
H 9.655 1.612 -0.791
H 7.106 1.605 0.479
H 4.832 5.767 -1.102
H 1.605 5.767 -0.479
H 1.612 3.218 0.791
H 1.605 0.670 2.060
H 4.832 0.670 2.683
H 7.106 4.832 1.102
H -3.218 4.825 2.372
H -0.670 1.605 4.264
H 4.825 3.218 3.953
H -0.670 4.832 3.642
C 6.264 1.904 -0.166
C 1.904 -0.173 1.415
C 4.533 6.610 -1.747
C 4.533 -0.173 3.328
C 1.904 6.610 0.166
C 6.264 4.533 1.747
C 0.173 4.533 2.997
C 0.173 1.904 4.909
O 10.372 -0.040 0.320
O 2.502 0.040 0.320
O 9.655 2.597 -0.791
O 6.397 -3.935 2.843
O 5.103 1.609 0.280
O 1.609 -1.333 1.861
O 4.827 -1.333 2.882
O 2.597 3.218 0.791
O 4.827 7.770 -1.301
O 1.609 7.770 -0.280
O 5.103 4.827 1.301
O -0.040 3.935 1.901
O -3.218 3.839 2.372
O 2.502 6.397 1.261
O -2.502 6.476 1.261
O 6.476 3.935 2.843
O 1.333 1.609 4.463
O 3.839 3.218 3.953
O 1.333 4.827 3.443
O 0.040 8.938 1.901
```

Values from the calculation:
- spin magnetization (μB/f.u.) = 0.0
- space group = I-42d
- calculated formation energy (meV per atom) = -1379

***

[2]
First-principles (PBE) data for a relaxed structure of InH10C3O11, as listed in Materials Project.

The structure in extended XYZ format:
```
200
Lattice="8.760 0.000 0.000 0.000 11.384 0.000 -7.727 0.000 20.485" Properties=species:S:1:pos:R:3 pbc="T T T"
In -2.884 2.819 10.041
In -6.748 2.874 20.284
In -0.221 8.395 6.160
In -4.085 8.682 16.403
In 5.118 2.703 4.082
In 1.255 2.989 14.325
In 7.781 8.511 0.201
In 3.918 8.566 10.444
H -5.130 0.701 13.837
H -1.266 4.991 3.595
H -0.996 1.708 3.687
H -4.859 3.984 13.929
H -2.334 7.726 8.027
H -6.198 9.351 18.269
H -3.687 1.188 13.390
H 0.177 4.504 3.147
H -4.199 5.948 15.847
H -0.336 11.129 5.605
H 0.070 5.844 4.954
H -3.793 11.233 15.197
H 0.940 0.550 3.858
H -2.923 5.142 14.100
H -4.178 6.137 17.502
H -0.314 10.939 7.259
H 0.576 1.670 4.956
H -3.287 4.022 15.198
H -2.258 6.661 12.536
H 1.606 10.415 2.293
H -4.612 0.487 18.838
H -0.748 5.206 8.595
H 0.062 5.714 6.619
H -3.802 11.362 16.862
H -0.674 0.085 9.134
H -4.537 5.607 19.377
H 2.420 7.989 1.125
H -1.443 9.087 11.367
H -3.840 1.694 18.298
H 0.023 3.998 8.056
H -0.955 5.827 12.760
H 2.909 11.249 2.517
H 0.720 0.717 8.759
H -3.144 4.975 19.001
H -1.950 2.359 15.891
H 1.913 3.333 5.648
H 1.894 1.996 6.363
H -1.969 3.696 16.606
H 3.457 8.340 2.252
H -0.406 8.736 12.494
H 1.440 2.648 7.991
H -2.424 3.044 18.233
H 3.002 7.688 3.879
H -0.861 9.388 14.122
H -0.879 8.051 14.837
H 2.984 9.025 4.594
H 4.177 6.409 1.484
H 0.314 10.667 11.726
H -1.875 0.135 17.968
H 1.988 5.557 7.725
H 1.010 7.387 12.429
H 4.874 9.690 2.187
H 2.477 2.297 9.118
H -1.386 3.395 19.360
H 5.570 5.777 1.108
H 1.707 11.299 11.351
H 4.835 0.022 3.623
H 0.972 5.670 13.866
H 1.782 6.179 11.890
H 5.645 10.898 1.647
H -0.572 0.969 18.191
H 3.291 4.723 7.949
H 4.321 7.363 5.287
H 0.457 9.714 15.529
H 1.348 0.445 13.226
H 5.211 5.247 2.983
H 3.957 6.243 6.385
H 0.094 10.834 16.627
H 4.827 0.151 5.288
H 0.964 5.541 15.531
H 1.369 0.256 14.880
H 5.233 5.437 4.638
H 0.857 6.881 17.337
H 4.720 10.196 7.095
H 7.231 2.033 2.216
H 3.368 3.659 12.458
H 5.893 7.400 6.556
H 2.030 9.676 16.798
H 2.300 6.393 16.890
H 6.163 10.683 6.648
C -2.491 2.640 6.961
C -6.354 3.052 17.204
C -3.304 5.924 9.760
C -7.167 11.152 20.003
C -7.024 5.965 20.315
C -3.160 11.112 10.072
C -3.734 8.428 13.357
C 0.129 8.648 3.114
C -1.394 2.565 12.759
C 2.470 3.127 2.516
C 3.501 2.617 1.478
C -0.363 3.075 11.721
C 1.396 8.309 8.764
C -2.467 8.767 19.007
C -1.436 8.257 17.969
C 2.427 8.820 7.726
C 0.905 2.736 17.371
C 4.768 2.956 7.128
C 4.194 0.273 10.413
C 8.057 5.420 0.170
C 8.201 0.232 0.482
C 4.338 5.460 10.725
C 7.388 8.332 3.281
C 3.525 8.745 13.524
O -2.075 2.517 5.777
O -5.939 3.175 16.020
O -3.290 7.153 9.444
O -7.154 9.923 19.686
O -2.197 7.949 7.073
O -6.061 9.128 17.316
O -6.882 7.220 20.235
O -3.019 9.856 9.993
O -4.180 0.438 13.800
O -0.316 5.254 3.558
O -6.351 0.642 19.599
O -2.487 5.050 9.356
O -1.794 2.564 8.018
O -5.658 3.128 18.260
O -3.290 8.237 12.180
O 0.573 8.839 1.938
O -2.242 0.581 9.899
O -6.105 5.111 20.142
O -4.566 6.524 16.590
O -0.702 10.552 6.348
O 0.211 0.890 4.454
O -3.652 4.802 14.696
O -2.575 2.343 12.344
O 1.289 3.349 2.102
O -3.039 8.326 14.405
O 0.824 8.750 4.163
O 0.331 6.295 5.836
O -3.532 10.781 16.079
O -1.927 5.804 12.883
O 1.937 11.272 2.640
O -3.818 0.718 18.299
O 0.046 4.974 8.056
O 3.101 2.442 0.293
O -0.762 3.250 10.536
O 0.221 8.079 8.348
O -3.642 8.998 18.591
O -3.717 5.785 18.854
O 0.146 11.292 8.611
O 1.301 2.739 6.138
O -2.562 2.953 16.381
O 3.326 7.808 1.440
O -0.538 9.269 11.683
O -0.985 2.412 13.947
O 2.879 3.281 3.704
O -1.845 8.104 16.781
O 2.018 8.973 6.538
O 1.571 2.116 8.802
O -2.292 3.576 19.044
O 3.596 8.431 4.104
O -0.268 8.645 14.347
O 0.888 0.093 11.874
O 4.751 5.599 1.631
O 4.676 2.387 1.894
O 0.812 3.305 12.137
O 1.796 8.134 9.949
O -2.068 8.942 20.192
O 0.988 6.410 12.429
O 4.851 10.666 2.186
O -0.903 0.112 17.845
O 2.960 5.580 7.602
O 4.566 0.603 4.406
O 0.703 5.089 14.649
O 0.209 2.634 16.322
O 4.072 3.058 6.079
O -0.255 8.035 18.383
O 3.608 9.041 8.141
O 4.686 6.582 5.788
O 0.822 10.494 16.031
O 1.736 0.832 14.137
O 5.599 4.860 3.895
O 7.139 6.273 0.343
O 3.275 10.803 10.586
O 0.460 2.545 18.547
O 4.324 3.147 8.305
O 6.691 8.256 2.225
O 2.828 8.820 12.467
O 3.521 6.334 11.129
O 7.384 10.742 0.886
O 1.350 6.130 16.927
O 5.213 10.946 6.685
O 4.053 1.528 10.492
O 7.916 4.164 0.249
O 7.094 2.257 3.169
O 3.231 3.435 13.412
O 8.187 1.461 0.799
O 4.324 4.231 11.041
O 6.972 8.209 4.465
O 3.109 8.867 14.708
```

Values from the calculation:
- spin magnetization (μB/f.u.) = 0.0
- space group = P2_1/c
- calculated formation energy (meV per atom) = -1400

***

[3]
First-principles (PBE) data for a relaxed structure of InH3C3O6, as listed in Materials Project.

The structure in extended XYZ format:
```
78
Lattice="12.859 0.000 0.000 -6.429 11.136 0.000 0.000 0.000 6.997" Properties=species:S:1:pos:R:3 pbc="T T T"
In -1.973 3.841 0.000
In -2.116 10.924 0.000
In 2.341 3.629 3.498
In 4.089 7.507 0.000
In 8.546 0.212 3.498
In 8.402 7.295 3.498
H -5.388 9.508 1.271
H 0.889 1.716 1.271
H 1.930 0.088 4.770
H -1.855 7.657 5.466
H -0.579 5.941 1.818
H 0.726 5.701 5.466
H -0.995 8.667 1.818
H 1.574 7.665 1.818
H 1.129 8.914 5.466
H 5.300 2.222 1.967
H 4.856 3.471 5.317
H 7.425 2.469 5.317
H 5.704 5.435 1.967
H 7.008 5.195 5.317
H 8.285 3.479 1.967
H 4.499 11.049 1.271
H 5.540 9.421 4.770
H 11.818 1.628 4.770
C -0.338 2.474 4.674
C -2.302 6.678 5.709
C -4.117 10.192 4.674
C -2.084 8.525 1.937
C 1.974 1.530 1.176
C 0.089 5.069 1.937
C 1.797 5.804 5.709
C 4.434 2.458 5.436
C 0.505 9.791 5.709
C 5.925 1.345 2.211
C 1.995 8.678 1.937
C 4.632 5.333 2.211
C 6.341 6.067 5.436
C 4.456 9.606 4.674
C 8.513 2.611 5.436
C 10.547 0.944 1.176
C 8.731 4.458 2.211
C 6.768 8.662 1.176
O -3.438 6.369 5.234
O -4.783 9.421 3.909
O -0.567 3.557 5.302
O -1.615 5.933 6.481
O -2.434 7.628 2.772
O 0.662 2.284 3.909
O -0.132 4.017 1.261
O -2.884 9.242 1.261
O -3.066 9.849 5.302
O 2.309 0.568 0.411
O 1.041 5.214 2.772
O 2.796 2.270 1.803
O 3.413 2.123 4.760
O -0.484 9.569 6.481
O 2.633 4.974 5.234
O 5.624 0.207 1.736
O 2.099 6.771 6.481
O 5.036 1.706 6.270
O 1.393 9.430 2.772
O 4.330 4.365 2.983
O 0.806 10.929 5.234
O 3.797 6.162 1.736
O 6.913 1.567 2.983
O 3.016 9.013 1.261
O 3.633 8.867 5.302
O 5.389 5.922 6.270
O 4.121 10.568 3.909
O 9.495 1.287 1.803
O 9.314 1.894 4.760
O 6.562 7.119 4.760
O 5.767 8.853 0.411
O 8.863 3.509 6.270
O 8.045 5.204 2.983
O 6.997 7.579 1.803
O 11.212 1.715 0.411
O 9.868 4.767 1.736
```

Values from the calculation:
- spin magnetization (μB/f.u.) = 0.0
- space group = P6_3
- calculated formation energy (meV per atom) = -1337

***

Among the records above, which one has the highest calculated formation energy?
InH3C3O6

***

What is the spin magnetization in the third record?
0.0 μB/f.u.